Version a
Density functional theory data (r²SCAN) for a relaxed structure of La2S2O.

Total moment: 0.0 μB per formula unit
Volume: 22.731 Å³ per atom

a b c (Å): 7.3316 7.1944 8.7045
angles (deg): 81.95 90.00 90.00
Fractional coordinates of all 20 atoms:
La 0.4443 0.2473 0.1397
La 0.0557 0.7473 0.1397
La 0.8699 0.3097 0.4168
La 0.6301 0.8097 0.4168
La 0.3699 0.1903 0.5832
La 0.1301 0.6903 0.5832
La 0.9443 0.2527 0.8603
La 0.5557 0.7527 0.8603
S 0.7728 0.4731 0.0788
S 0.7272 0.9731 0.0788
S 0.1528 0.0533 0.3287
S 0.3472 0.5533 0.3287
S 0.6528 0.4467 0.6713
S 0.8472 0.9467 0.6713
S 0.2728 0.0269 0.9212
S 0.2272 0.5269 0.9212
O 0.5881 0.1501 0.3831
O 0.9119 0.6501 0.3831
O 0.0881 0.3499 0.6169
O 0.4119 0.8499 0.6169



Version b
Density functional theory data (r²SCAN) for a relaxed structure of La2S2O.

Total moment: 0.0 μB per formula unit
Volume: 23.252 Å³ per atom

a b c (Å): 4.0809 7.1369 15.9668
angles (deg): 90.00 90.00 90.00
Fractional coordinates of all 20 atoms:
La 0.7500 0.2086 0.0387
La 0.7500 0.7592 0.1730
La 0.2500 0.2592 0.3270
La 0.2500 0.7086 0.4613
La 0.7500 0.2914 0.5387
La 0.7500 0.7408 0.6730
La 0.2500 0.2408 0.8270
La 0.2500 0.7914 0.9613
S 0.2500 0.5142 0.1066
S 0.2500 0.0421 0.1737
S 0.7500 0.5421 0.3263
S 0.7500 0.0142 0.3934
S 0.2500 0.9858 0.6066
S 0.2500 0.4579 0.6737
S 0.7500 0.9579 0.8263
S 0.7500 0.4858 0.8934
O 0.7500 0.8666 0.0331
O 0.2500 0.3666 0.4669
O 0.7500 0.6334 0.5331
O 0.2500 0.1334 0.9669



Most stable structure, least stable structure: version a, version b.



Version a
Density functional theory data (r²SCAN) for a relaxed structure of La2SiO5.

Total moment: 0.0 μB per formula unit
Volume: 15.385 Å³ per atom

a b c (Å): 8.2115 8.2115 11.0538
angles (deg): 61.78 61.78 50.83
Fractional coordinates of all 32 atoms:
La 0.7688 0.5233 0.6684
La 0.2135 0.7127 0.9631
La 0.2873 0.7865 0.5369
La 0.5233 0.7688 0.1684
La 0.4767 0.2312 0.8316
La 0.7127 0.2135 0.4631
La 0.7865 0.2873 0.0369
La 0.2312 0.4767 0.3316
Si 0.7367 0.9059 0.3124
Si 0.0941 0.2633 0.1876
Si 0.9059 0.7367 0.8124
Si 0.2633 0.0941 0.6876
O 0.9177 0.8898 0.1583
O 0.1354 0.2478 0.5615
O 0.3974 0.8386 0.6873
O 0.1626 0.4242 0.1653
O 0.5758 0.8374 0.3347
O 0.5721 0.3948 0.8947
O 0.6052 0.4279 0.6053
O 0.1102 0.0823 0.3417
O 0.2478 0.1354 0.0615
O 0.1614 0.6026 0.8127
O 0.8386 0.3974 0.1873
O 0.7522 0.8646 0.9385
O 0.8898 0.9177 0.6583
O 0.3948 0.5721 0.3947
O 0.4279 0.6052 0.1053
O 0.4242 0.1626 0.6653
O 0.8374 0.5758 0.8347
O 0.6026 0.1614 0.3127
O 0.8646 0.7522 0.4385
O 0.0823 0.1102 0.8417



Version b
Density functional theory data (r²SCAN) for a relaxed structure of La2SiO5.

Total moment: 0.0 μB per formula unit
Volume: 14.608 Å³ per atom

a b c (Å): 7.5701 7.0123 9.2998
angles (deg): 71.25 90.00 90.00
Fractional coordinates of all 32 atoms:
La 0.1250 0.7332 0.4890
La 0.6250 0.7668 0.5110
La 0.8750 0.2668 0.5110
La 0.3750 0.2332 0.4890
La 0.6558 0.9062 0.8893
La 0.1558 0.5938 0.1107
La 0.3442 0.0938 0.1107
La 0.8442 0.4062 0.8893
Si 0.0761 0.9582 0.7991
Si 0.5761 0.5418 0.2009
Si 0.9239 0.0418 0.2009
Si 0.4239 0.4582 0.7991
O 0.8734 0.5473 0.6123
O 0.3734 0.9527 0.3877
O 0.1266 0.4527 0.3877
O 0.6266 0.0473 0.6123
O 0.2428 0.9473 0.9085
O 0.7428 0.5527 0.0915
O 0.7572 0.0527 0.0915
O 0.2572 0.4473 0.9085
O 0.1316 0.0056 0.6204
O 0.6316 0.4944 0.3796
O 0.8684 0.9944 0.3796
O 0.3684 0.5056 0.6204
O 0.5722 0.6333 0.7918
O 0.0722 0.8667 0.2082
O 0.4278 0.3667 0.2082
O 0.9278 0.1333 0.7918
O 0.5373 0.2489 0.8658
O 0.0373 0.2511 0.1342
O 0.4627 0.7511 0.1342
O 0.9627 0.7489 0.8658



Most stable structure, least stable structure: version b, version a.



Version a
Density functional theory data (r²SCAN) for a relaxed structure of La3Tl.

Total moment: 1.6 μB per formula unit
Volume: 32.976 Å³ per atom

a b c (Å): 5.0904 5.0904 5.0904
angles (deg): 90.00 90.00 90.00
Fractional coordinates of all 4 atoms:
La 0.0000 0.5000 0.5000
La 0.5000 0.5000 0.0000
La 0.5000 0.0000 0.5000
Tl 0.0000 0.0000 0.0000



Version b
Density functional theory data (r²SCAN) for a relaxed structure of La3Tl.

Total moment: 0.8 μB per formula unit
Volume: 32.579 Å³ per atom

a b c (Å): 6.3256 6.3256 6.3256
angles (deg): 133.64 133.64 67.65
Fractional coordinates of all 4 atoms:
La 0.7500 0.2500 0.5000
La 0.2500 0.7500 0.5000
La 0.5000 0.5000 0.0000
Tl 0.0000 0.0000 0.0000



Most stable structure, least stable structure: version a, version b.



Version a
Density functional theory data (r²SCAN) for a relaxed structure of LaY.

Total moment: 0.2 μB per formula unit
Volume: 35.749 Å³ per atom

a b c (Å): 3.7159 3.7153 18.0683
angles (deg): 84.11 90.00 120.00
Fractional coordinates of all 6 atoms:
La 0.0016 0.0031 0.9953
La 0.4995 0.9990 0.5015
La 0.6103 0.2205 0.1689
Y 0.1101 0.2202 0.6692
Y 0.8880 0.7759 0.3363
Y 0.3906 0.7812 0.8287



Version b
Density functional theory data (r²SCAN) for a relaxed structure of LaY.

Total moment: 0.0 μB per formula unit
Volume: 35.485 Å³ per atom

a b c (Å): 3.7096 3.7096 11.9103
angles (deg): 90.00 90.00 120.00
Fractional coordinates of all 4 atoms:
La 0.3333 0.6667 0.7500
La 0.6667 0.3333 0.2500
Y 0.0000 0.0000 0.0000
Y 0.0000 0.0000 0.5000



Most stable structure, least stable structure: version a, version b.



Version a
Density functional theory data (r²SCAN) for a relaxed structure of Li.

Total moment: 0.0 μB per formula unit
Volume: 20.366 Å³ per atom

a b c (Å): 3.0344 3.0344 10.2162
angles (deg): 90.00 90.00 120.00
Fractional coordinates of all 4 atoms:
Li 0.0000 0.0000 0.0000
Li 0.3333 0.6667 0.2500
Li 0.0000 0.0000 0.5000
Li 0.6667 0.3333 0.7500



Version b
Density functional theory data (r²SCAN) for a relaxed structure of Li.

Total moment: 0.0 μB per formula unit
Volume: 20.402 Å³ per atom

a b c (Å): 3.0787 3.0787 7.6654
angles (deg): 78.42 78.42 60.00
Fractional coordinates of all 3 atoms:
Li 0.7770 0.7770 0.6689
Li 0.2230 0.2230 0.3311
Li 0.0000 0.0000 0.0000



Version c
Density functional theory data (r²SCAN) for a relaxed structure of Li.

Total moment: 0.0 μB per formula unit
Volume: 20.424 Å³ per atom

a b c (Å): 2.8888 4.9488 4.9489
angles (deg): 120.00 90.00 90.00
Fractional coordinates of all 3 atoms:
Li 0.0000 0.0000 0.0000
Li 0.5000 0.3332 0.6666
Li 0.5000 0.6668 0.3334



Most stable structure, least stable structure: version b, version c.



Version a
Density functional theory data (r²SCAN) for a relaxed structure of Li.

Total moment: 0.0 μB per formula unit
Volume: 20.219 Å³ per atom

a b c (Å): 5.9451 5.9451 5.9451
angles (deg): 109.47 109.47 109.47
Fractional coordinates of all 8 atoms:
Li 0.0116 0.5000 0.0000
Li 0.0000 0.0116 0.5000
Li 0.9884 0.9884 0.9884
Li 0.0000 0.5116 0.5000
Li 0.5116 0.5000 0.0000
Li 0.4884 0.4884 0.4884
Li 0.5000 0.0000 0.0116
Li 0.5000 0.0000 0.5116



Version b
Density functional theory data (r²SCAN) for a relaxed structure of Li.

Total moment: 0.0 μB per formula unit
Volume: 20.347 Å³ per atom

a b c (Å): 3.0644 3.0644 3.0644
angles (deg): 60.00 60.00 60.00
Fractional coordinates of all 1 atoms:
Li 0.0000 0.0000 0.0000



Most stable structure, least stable structure: version b, version a.